The following is a PBE-GGA calculation of crystalline BaMg14Sb at its relaxed geometry, from Materials Project.

The structure belongs to space group Amm2 (No. 38); the cell edges are 10.587, 6.610 and 11.522 Å and the angles 90.00°, 90.00° and 90.00°. The asymmetric unit holds Ba at (0.000, 0.000, 0.000), Mg at (0.000, 0.243, 0.252), Mg at (0.247, 0.000, 0.669), Mg at (0.265, 0.000, 0.174), Mg at (0.265, 0.241, 0.414), Mg at (0.500, 0.000, 0.001), Mg at (0.500, 0.000, 0.503), Mg at (0.500, 0.247, 0.749) and Sb at (0.000, 0.000, 0.494).

The calculation puts the total moment at 0.0 μB/f.u. The calculated volume comes out at 403.1 Å³/f.u. For the total energy, the calculation gives -57.2 eV/cell. The value obtained for the energy relative to the lowest polymorph listed for this composition is 0 meV per atom.